Compound: HgAsS2
Source: the Materials Project database
Functional: PBE
Structure: relaxed

Unit cell a=9.481 b=46.211 c=10.852 alpha=90.00 beta=124.55 gamma=90.00
Fractional coordinates of all 144 atoms:
1 Hg 0.000 0.000 0.000
2 Hg 0.000 0.000 0.500
3 Hg 0.000 0.166 0.000
4 Hg 0.000 0.834 0.500
5 Hg 0.246 0.293 0.877
6 Hg 0.246 0.374 0.377
7 Hg 0.246 0.459 0.377
8 Hg 0.246 0.541 0.877
9 Hg 0.246 0.626 0.877
10 Hg 0.246 0.707 0.377
11 Hg 0.247 0.207 0.876
12 Hg 0.247 0.793 0.376
13 Hg 0.257 0.041 0.386
14 Hg 0.257 0.125 0.386
15 Hg 0.257 0.875 0.886
16 Hg 0.257 0.959 0.886
17 Hg 0.741 0.208 0.129
18 Hg 0.741 0.292 0.129
19 Hg 0.741 0.375 0.629
20 Hg 0.741 0.458 0.629
21 Hg 0.741 0.542 0.129
22 Hg 0.741 0.625 0.129
23 Hg 0.741 0.708 0.629
24 Hg 0.741 0.792 0.629
25 Hg 0.743 0.125 0.629
26 Hg 0.743 0.875 0.129
27 Hg 0.744 0.042 0.629
28 Hg 0.744 0.958 0.129
29 Hg 0.997 0.167 0.501
30 Hg 0.997 0.333 0.501
31 Hg 0.997 0.334 0.001
32 Hg 0.997 0.499 0.001
33 Hg 0.997 0.501 0.501
34 Hg 0.997 0.666 0.501
35 Hg 0.997 0.667 0.001
36 Hg 0.997 0.833 0.001
37 As 0.004 0.250 0.505
38 As 0.004 0.417 0.005
39 As 0.004 0.583 0.505
40 As 0.004 0.750 0.005
41 As 0.015 0.083 0.007
42 As 0.015 0.917 0.507
43 As 0.357 0.083 0.915
44 As 0.357 0.917 0.415
45 As 0.385 0.250 0.396
46 As 0.385 0.417 0.896
47 As 0.385 0.583 0.396
48 As 0.385 0.750 0.896
49 As 0.498 0.332 0.260
50 As 0.498 0.334 0.760
51 As 0.498 0.499 0.760
52 As 0.498 0.501 0.260
53 As 0.498 0.666 0.260
54 As 0.498 0.668 0.760
55 As 0.499 0.166 0.761
56 As 0.499 0.834 0.261
57 As 0.500 0.168 0.260
58 As 0.500 0.832 0.760
59 As 0.501 0.001 0.761
60 As 0.501 0.999 0.261
61 As 0.611 0.250 0.620
62 As 0.611 0.417 0.120
63 As 0.611 0.583 0.620
64 As 0.611 0.750 0.120
65 As 0.631 0.083 0.041
66 As 0.631 0.917 0.541
67 As 0.981 0.250 0.988
68 As 0.981 0.417 0.488
69 As 0.981 0.583 0.988
70 As 0.981 0.750 0.488
71 As 0.987 0.083 0.492
72 As 0.987 0.917 0.992
73 S 0.029 0.213 0.150
74 S 0.029 0.287 0.151
75 S 0.029 0.379 0.651
76 S 0.029 0.454 0.650
77 S 0.029 0.546 0.150
78 S 0.029 0.621 0.151
79 S 0.029 0.713 0.651
80 S 0.029 0.787 0.650
81 S 0.034 0.046 0.653
82 S 0.034 0.121 0.653
83 S 0.034 0.879 0.153
84 S 0.034 0.954 0.153
85 S 0.254 0.250 0.039
86 S 0.254 0.417 0.539
87 S 0.254 0.583 0.039
88 S 0.254 0.750 0.539
89 S 0.262 0.083 0.551
90 S 0.262 0.917 0.051
91 S 0.280 0.325 0.513
92 S 0.280 0.342 0.013
93 S 0.280 0.492 0.013
94 S 0.280 0.508 0.513
95 S 0.280 0.658 0.513
96 S 0.280 0.675 0.013
97 S 0.281 0.175 0.515
98 S 0.281 0.825 0.015
99 S 0.283 0.158 0.013
100 S 0.283 0.842 0.513
101 S 0.285 0.008 0.014
102 S 0.285 0.992 0.514
103 S 0.497 0.289 0.843
104 S 0.497 0.378 0.343
105 S 0.497 0.455 0.343
106 S 0.497 0.545 0.843
107 S 0.497 0.622 0.843
108 S 0.497 0.711 0.343
109 S 0.498 0.212 0.843
110 S 0.498 0.788 0.343
111 S 0.501 0.122 0.344
112 S 0.501 0.878 0.844
113 S 0.502 0.045 0.344
114 S 0.502 0.955 0.844
115 S 0.718 0.326 0.731
116 S 0.718 0.341 0.231
117 S 0.718 0.492 0.231
118 S 0.718 0.508 0.731
119 S 0.718 0.659 0.731
120 S 0.718 0.674 0.231
121 S 0.719 0.175 0.731
122 S 0.719 0.825 0.231
123 S 0.720 0.159 0.232
124 S 0.720 0.841 0.732
125 S 0.721 0.008 0.232
126 S 0.721 0.992 0.732
127 S 0.730 0.250 0.288
128 S 0.730 0.417 0.788
129 S 0.730 0.583 0.288
130 S 0.730 0.750 0.788
131 S 0.740 0.083 0.792
132 S 0.740 0.917 0.292
133 S 0.952 0.213 0.617
134 S 0.952 0.287 0.617
135 S 0.952 0.380 0.117
136 S 0.952 0.454 0.117
137 S 0.952 0.546 0.617
138 S 0.952 0.620 0.617
139 S 0.952 0.713 0.117
140 S 0.952 0.787 0.117
141 S 0.968 0.046 0.122
142 S 0.968 0.121 0.122
143 S 0.968 0.879 0.622
144 S 0.968 0.954 0.622

## Properties
The energy comes out at -479.9 eV for the cell shown. The calculation puts the formation energy at -275.1 meV/atom. The space group is Pc, No. 7.

***

Compound: Hg3SbAsS3
Source: the Materials Project database
Functional: PBE
Structure: relaxed

Unit cell a=11.977 b=4.580 c=19.727 alpha=90.00 beta=125.70 gamma=90.00
Fractional coordinates of all 32 atoms:
1 Hg 0.058 0.232 0.424
2 Hg 0.058 0.268 0.924
3 Hg 0.206 0.721 0.312
4 Hg 0.206 0.779 0.812
5 Hg 0.299 0.124 0.679
6 Hg 0.299 0.376 0.179
7 Hg 0.701 0.624 0.821
8 Hg 0.701 0.876 0.321
9 Hg 0.794 0.221 0.188
10 Hg 0.794 0.279 0.688
11 Hg 0.942 0.732 0.076
12 Hg 0.942 0.768 0.576
13 Sb 0.404 0.692 0.550
14 Sb 0.404 0.808 0.050
15 Sb 0.596 0.192 0.950
16 Sb 0.596 0.308 0.450
17 As 0.098 0.137 0.692
18 As 0.098 0.363 0.192
19 As 0.902 0.637 0.808
20 As 0.902 0.863 0.308
21 S 0.184 0.603 0.535
22 S 0.184 0.897 0.035
23 S 0.310 0.058 0.431
24 S 0.310 0.442 0.931
25 S 0.489 0.044 0.666
26 S 0.489 0.456 0.166
27 S 0.511 0.544 0.834
28 S 0.511 0.956 0.334
29 S 0.690 0.558 0.069
30 S 0.690 0.942 0.569
31 S 0.816 0.103 0.965
32 S 0.816 0.397 0.465

## Properties
The energy comes out at -92.4 eV for the cell shown. The calculation puts the formation energy at -312.4 meV/atom. The space group is P2_1/c, No. 14.

***

Compound: Tl4Hg3Sb2As8S20
Source: the Materials Project database
Functional: PBE
Structure: relaxed

Unit cell a=11.585 b=14.022 c=14.022 alpha=121.93 beta=90.00 gamma=90.00
Fractional coordinates of all 74 atoms:
1 Tl 0.058 0.231 0.769
2 Tl 0.203 0.614 0.396
3 Tl 0.297 0.114 0.896
4 Tl 0.442 0.731 0.269
5 Tl 0.558 0.269 0.731
6 Tl 0.703 0.896 0.114
7 Tl 0.797 0.396 0.614
8 Tl 0.942 0.769 0.231
9 Hg 0.000 0.752 0.752
10 Hg 0.074 0.195 0.310
11 Hg 0.426 0.695 0.810
12 Hg 0.500 0.252 0.252
13 Hg 0.574 0.810 0.695
14 Hg 0.926 0.310 0.195
15 Sb 0.208 0.578 0.901
16 Sb 0.292 0.078 0.401
17 Sb 0.708 0.401 0.078
18 Sb 0.792 0.901 0.578
19 As 0.094 0.452 0.057
20 As 0.104 0.461 0.561
21 As 0.104 0.936 0.047
22 As 0.113 0.958 0.541
23 As 0.387 0.458 0.041
24 As 0.396 0.436 0.547
25 As 0.396 0.961 0.061
26 As 0.406 0.952 0.557
27 As 0.594 0.557 0.952
28 As 0.604 0.061 0.961
29 As 0.604 0.547 0.436
30 As 0.613 0.041 0.458
31 As 0.887 0.541 0.958
32 As 0.896 0.047 0.936
33 As 0.896 0.561 0.461
34 As 0.906 0.057 0.452
35 S 0.018 0.473 0.812
36 S 0.018 0.766 0.946
37 S 0.020 0.206 0.521
38 S 0.021 0.197 0.014
39 S 0.170 0.625 0.098
40 S 0.174 0.372 0.380
41 S 0.177 0.633 0.623
42 S 0.190 0.898 0.367
43 S 0.245 0.394 0.629
44 S 0.246 0.890 0.612
45 S 0.254 0.390 0.112
46 S 0.255 0.894 0.129
47 S 0.310 0.398 0.867
48 S 0.323 0.133 0.123
49 S 0.326 0.872 0.880
50 S 0.330 0.125 0.598
51 S 0.479 0.697 0.514
52 S 0.480 0.706 0.021
53 S 0.482 0.266 0.446
54 S 0.482 0.973 0.312
55 S 0.518 0.312 0.973
56 S 0.518 0.446 0.266
57 S 0.520 0.021 0.706
58 S 0.521 0.514 0.697
59 S 0.670 0.598 0.125
60 S 0.674 0.880 0.872
61 S 0.677 0.123 0.133
62 S 0.690 0.867 0.398
63 S 0.745 0.129 0.894
64 S 0.746 0.112 0.390
65 S 0.754 0.612 0.890
66 S 0.755 0.629 0.394
67 S 0.810 0.367 0.898
68 S 0.823 0.623 0.633
69 S 0.826 0.380 0.372
70 S 0.830 0.098 0.625
71 S 0.979 0.014 0.197
72 S 0.980 0.521 0.206
73 S 0.982 0.812 0.473
74 S 0.982 0.946 0.766

## Properties
The energy comes out at -291.5 eV for the cell shown. The calculation puts the formation energy at -464.8 meV/atom. The space group is Aea2, No. 41.

***

Compound: TlHgAsS3
Source: the Materials Project database
Functional: PBE
Structure: relaxed

Unit cell a=9.816 b=9.816 c=9.816 alpha=107.04 beta=107.04 gamma=114.46
Fractional coordinates of all 24 atoms:
1 Tl 0.158 0.158 0.000
2 Tl 0.250 0.750 0.500
3 Tl 0.750 0.250 0.500
4 Tl 0.842 0.842 0.000
5 Hg 0.223 0.500 0.723
6 Hg 0.500 0.223 0.723
7 Hg 0.500 0.777 0.277
8 Hg 0.777 0.500 0.277
9 As 0.023 0.023 0.504
10 As 0.481 0.977 0.000
11 As 0.519 0.519 0.496
12 As 0.977 0.481 0.000
13 S 0.032 0.234 0.447
14 S 0.213 0.766 0.798
15 S 0.214 0.474 0.000
16 S 0.234 0.032 0.447
17 S 0.415 0.968 0.202
18 S 0.474 0.214 0.000
19 S 0.526 0.526 0.740
20 S 0.585 0.787 0.553
21 S 0.766 0.213 0.798
22 S 0.786 0.786 0.260
23 S 0.787 0.585 0.553
24 S 0.968 0.415 0.202

## Properties
The energy comes out at -81.9 eV for the cell shown. The calculation puts the formation energy at -376.5 meV/atom. The space group is I-42m, No. 121. The energy relative to the lowest polymorph listed for this composition comes out at 89 meV/atom.

***

Compound: TlHgAsS3
Source: the Materials Project database
Functional: PBE
Structure: relaxed

Unit cell a=6.290 b=6.290 c=16.680 alpha=90.00 beta=90.00 gamma=96.11
Fractional coordinates of all 24 atoms:
1 Tl 0.166 0.834 0.949
2 Tl 0.334 0.666 0.449
3 Tl 0.666 0.334 0.551
4 Tl 0.834 0.166 0.051
5 Hg 0.078 0.422 0.750
6 Hg 0.422 0.078 0.250
7 Hg 0.578 0.922 0.750
8 Hg 0.922 0.578 0.250
9 As 0.073 0.927 0.610
10 As 0.427 0.573 0.110
11 As 0.573 0.427 0.890
12 As 0.927 0.073 0.390
13 S 0.137 0.292 0.609
14 S 0.145 0.855 0.739
15 S 0.208 0.363 0.891
16 S 0.292 0.137 0.391
17 S 0.355 0.645 0.239
18 S 0.363 0.208 0.109
19 S 0.637 0.792 0.891
20 S 0.645 0.355 0.761
21 S 0.708 0.863 0.609
22 S 0.792 0.637 0.109
23 S 0.855 0.145 0.261
24 S 0.863 0.708 0.391

## Properties
The energy comes out at -84.1 eV for the cell shown. The calculation puts the formation energy at -465.1 meV/atom. The space group is Cmce, No. 64. The energy relative to the lowest polymorph listed for this composition comes out at 0 meV/atom.

***

Compound: TlHgAs3S6
Source: the Materials Project database
Functional: PBE
Structure: relaxed

Unit cell a=6.203 b=12.297 c=17.300 alpha=90.00 beta=109.69 gamma=90.00
Fractional coordinates of all 44 atoms:
1 Tl 0.072 0.115 0.197
2 Tl 0.072 0.385 0.697
3 Tl 0.928 0.615 0.303
4 Tl 0.928 0.885 0.803
5 Hg 0.168 0.595 0.097
6 Hg 0.168 0.905 0.597
7 Hg 0.832 0.095 0.403
8 Hg 0.832 0.405 0.903
9 As 0.310 0.175 0.918
10 As 0.310 0.325 0.418
11 As 0.407 0.632 0.933
12 As 0.407 0.868 0.433
13 As 0.439 0.128 0.745
14 As 0.439 0.372 0.245
15 As 0.561 0.628 0.755
16 As 0.561 0.872 0.255
17 As 0.593 0.132 0.567
18 As 0.593 0.368 0.067
19 As 0.690 0.675 0.582
20 As 0.690 0.825 0.082
21 S 0.062 0.636 0.951
22 S 0.062 0.864 0.451
23 S 0.231 0.640 0.790
24 S 0.231 0.860 0.290
25 S 0.256 0.151 0.384
26 S 0.256 0.349 0.884
27 S 0.361 0.639 0.619
28 S 0.361 0.861 0.119
29 S 0.370 0.554 0.243
30 S 0.370 0.946 0.743
31 S 0.499 0.685 0.443
32 S 0.499 0.815 0.943
33 S 0.501 0.185 0.057
34 S 0.501 0.315 0.557
35 S 0.630 0.054 0.257
36 S 0.630 0.446 0.757
37 S 0.639 0.139 0.881
38 S 0.639 0.361 0.381
39 S 0.744 0.651 0.116
40 S 0.744 0.849 0.616
41 S 0.769 0.140 0.710
42 S 0.769 0.360 0.210
43 S 0.938 0.136 0.549
44 S 0.938 0.364 0.049

## Properties
The energy comes out at -173.5 eV for the cell shown. The calculation puts the formation energy at -448.8 meV/atom. The space group is P2_1/c, No. 14.

***

Compound: HoAs3
Source: the Materials Project database
Functional: PBE
Structure: relaxed

Unit cell a=5.989 b=5.989 c=5.466 alpha=90.00 beta=90.00 gamma=120.00
Fractional coordinates of all 8 atoms:
1 Ho 0.333 0.667 0.250
2 Ho 0.667 0.333 0.750
3 As 0.180 0.360 0.750
4 As 0.180 0.820 0.750
5 As 0.360 0.180 0.250
6 As 0.640 0.820 0.750
7 As 0.820 0.180 0.250
8 As 0.820 0.640 0.250

## Properties
The energy comes out at -40.9 eV for the cell shown. The calculation puts the formation energy at -478.6 meV/atom. The space group is P6_3/mmc, No. 194.

***

Compound: HoNiAs
Source: the Materials Project database
Functional: PBE
Structure: relaxed

Unit cell a=4.039 b=4.039 c=15.433 alpha=90.00 beta=90.00 gamma=120.00
Fractional coordinates of all 12 atoms:
1 Ho 0.000 0.000 0.000
2 Ho 0.000 0.000 0.250
3 Ho 0.000 0.000 0.500
4 Ho 0.000 0.000 0.750
5 Ni 0.333 0.667 0.135
6 Ni 0.333 0.667 0.365
7 Ni 0.667 0.333 0.635
8 Ni 0.667 0.333 0.865
9 As 0.333 0.667 0.620
10 As 0.333 0.667 0.880
11 As 0.667 0.333 0.120
12 As 0.667 0.333 0.380

## Properties
The energy comes out at -72.7 eV for the cell shown. The calculation puts the formation energy at -1049.0 meV/atom. The space group is P6_3/mmc, No. 194.

***

Compound: HoNiAs
Source: the Materials Project database
Functional: PBE
Structure: relaxed

Unit cell a=4.046 b=4.046 c=3.833 alpha=90.00 beta=90.00 gamma=120.00
Fractional coordinates of all 3 atoms:
1 Ho 0.000 0.000 0.000
2 Ni 0.667 0.333 0.500
3 As 0.333 0.667 0.500

## Properties
The energy comes out at -18.2 eV for the cell shown. The calculation puts the formation energy at -1044.6 meV/atom. The space group is P-6m2, No. 187.

***

Compound: HoNi4As2
Source: the Materials Project database
Functional: PBE
Structure: relaxed

Unit cell a=7.227 b=7.227 c=3.779 alpha=90.00 beta=90.00 gamma=90.00
Fractional coordinates of all 14 atoms:
1 Ho 0.000 0.000 0.000
2 Ho 0.500 0.500 0.500
3 Ni 0.089 0.346 0.500
4 Ni 0.154 0.589 0.000
5 Ni 0.346 0.089 0.500
6 Ni 0.411 0.846 0.000
7 Ni 0.589 0.154 0.000
8 Ni 0.654 0.911 0.500
9 Ni 0.846 0.411 0.000
10 Ni 0.911 0.654 0.500
11 As 0.217 0.783 0.500
12 As 0.283 0.283 0.000
13 As 0.717 0.717 0.000
14 As 0.783 0.217 0.500

## Properties
The energy comes out at -82.8 eV for the cell shown. The calculation puts the formation energy at -629.0 meV/atom. The space group is P4_2/mnm, No. 136.